{"formula": "CsNdS2", "functional": "PBE", "state": "relaxed", "density_g_cm3": 4.5, "delta_e_f_mev_per_atom": -2046, "lattice_angstrom": [[2.128, 1.228, 8.095], [-2.128, 1.228, 8.095], [0.000, -2.457, 8.095]], "species": ["Cs", "Nd", "S", "S"], "fractional_positions": [[0.000, 0.000, 0.000], [0.500, 0.500, 0.500], [0.229, 0.229, 0.229], [0.771, 0.771, 0.771]]}